Record 1
SnH12C6S4N2 after structural relaxation, computed with GGA-PBE.

Summary:
Formation enthalpy at 0 K ... -0.217 eV/atom

Cell: 9.1006 12.4173 12.4444 Å, 90.00 109.41 90.00°
Closest atoms and distances in Å follow each position.
Space group C2/c (No. 15)
One atom of each set of equivalent atoms:
Sn 0.0000 0.0231 0.2500 (multiplicity 4)  4 S 2.62-2.79
H 0.0107 0.2763 0.8606 (multiplicity 8)  1 C 1.10
H 0.0117 0.3079 0.1577 (multiplicity 8)  1 C 1.09
H 0.0549 0.2228 0.4650 (multiplicity 8)  1 C 1.10
H 0.0760 0.4057 0.6392 (multiplicity 8)  1 C 1.10
H 0.1233 0.3968 0.8686 (multiplicity 8)  1 C 1.10
H 0.1428 0.3524 0.4650 (multiplicity 8)  1 C 1.10
C 0.0320 0.3586 0.8948 (multiplicity 8)  3 H 1.10
C 0.0331 0.3067 0.4354 (multiplicity 8)  3 H 1.09-1.10
C 0.2192 0.3938 0.0857 (multiplicity 8)  1 N 1.34
S 0.1502 0.0499 0.9711 (multiplicity 8)  1 C 1.72
S 0.2289 0.1107 0.7665 (multiplicity 8)  1 C 1.74
N 0.0807 0.3556 0.0193 (multiplicity 8)  3 C 1.34-1.46

Record 2
LiAc2Ga after structural relaxation, computed with GGA-PBE.

Summary:
Formation enthalpy at 0 K ... -0.214 eV/atom

Cell: 7.9022 7.9022 7.9022 Å, 90.00 90.00 90.00°
Closest atoms and distances in Å follow each position.
Space group Fm-3m (No. 225)
One atom of each set of equivalent atoms:
Li 0.0000 0.0000 0.0000 (multiplicity 4)  8 Ac 3.42
Ac 0.2500 0.2500 0.2500 (multiplicity 8)  4 Li 3.42, 4 Ga 3.42
Ga 0.0000 0.0000 0.5000 (multiplicity 4)  8 Ac 3.42

It is found that the energy values, taken in the order of the records, are -544.0 -56.1 eV for the cell shown.